LiFe2B2O6 GGA+U relaxed; DFT formation energy = -2266 meV/atom; density = 3.2 Mg/m³; ΔE to the lowest computed polymorph = 0.0135 eV/atom; DFT total energy = -7.11 eV per atom; space-group type = P1 (1); M_tot = 36.000 Bohr magnetons per cell
1.0
5.2883 0.0000 0.0000
0.0653 9.0593 0.0000
0.2302 0.1626 10.2186
Li Fe B O
4 8 8 24
Cartesian
0.0000 0.0000 0.0000
0.1894 8.8969 5.1270
1.1469 4.4762 2.7514
3.8850 9.0179 7.7809
0.0945 3.0873 0.3071
0.2438 5.8845 5.4750
1.0908 1.4335 2.8870
1.2622 7.5505 7.9316
2.7672 1.5121 5.4731
2.7402 7.3406 0.3136
3.8246 3.0543 8.0702
3.7617 6.0428 2.9786
0.1597 2.8906 5.3940
0.1980 6.0372 0.5043
1.1158 1.5695 8.1033
1.1114 7.4437 2.9171
2.7098 1.3199 0.3258
2.9092 7.6084 5.4612
3.7048 2.9982 2.8841
3.9111 6.0421 8.0631
0.4569 2.7392 8.4550
0.4561 0.3576 8.1823
0.4169 6.2812 3.2421
0.5787 8.6775 3.1368
0.7508 4.0522 5.0800
0.7626 1.6748 4.9317
1.0380 7.3647 10.2168
0.8561 4.8718 0.6561
1.3829 1.3887 0.8217
1.5577 7.5522 5.7823
2.3763 7.2909 2.3556
2.4587 1.6098 7.7078
2.9504 1.8861 3.2567
3.2495 7.2181 8.5467
3.1341 4.2423 2.8998
3.2932 4.8408 8.1891
3.3263 0.0835 0.2163
3.6246 2.6071 10.1327
3.5504 6.5178 4.8734
3.6492 8.7431 5.7563
4.1584 6.1806 0.9265
4.2582 2.7591 6.1091
5.1387 6.2055 7.4878
5.0472 2.8328 2.5029